10
Lattice="-2.101 -4.042 -4.322 -6.036 0.107 -1.726 -1.596 2.061 -5.713" Properties=species:S:1:pos:R:3 comment="PBE-GGA Na2HgPdF6, relaxed" space_group=Fm-3m pbc="T T T"
Na -7.300 -1.406 -8.821
Na -2.433 -0.469 -2.940
F -6.552 -2.482 -5.967
F -3.442 -2.536 -5.078
F -3.182 0.607 -5.794
F -6.291 0.662 -6.683
F -4.264 -1.475 -8.020
F -5.469 -0.400 -3.741
Hg -4.867 -0.937 -5.881
Pd 0.000 0.000 0.000

***

10
Lattice="0.000 4.425 4.425 4.425 0.000 4.425 4.425 4.425 0.000" Properties=species:S:1:pos:R:3 comment="PBE-GGA Na2HgRhF6, relaxed" space_group=Fm-3m pbc="T T T"
Na 6.638 6.638 6.638
Na 2.213 2.213 2.213
F 2.038 4.425 4.425
F 4.425 4.425 6.812
F 4.425 2.038 4.425
F 4.425 4.425 2.038
F 6.812 4.425 4.425
F 4.425 6.812 4.425
Hg 4.425 4.425 4.425
Rh 0.000 0.000 0.000

***

no.,energy of formation (eV/f.u.)
1,-19.6
2,-20.0